{
  "formula": "EuZrS3",
  "functional": "r2SCAN",
  "state": "relaxed",
  "lattice": [[-0.034, -0.231, 6.561], [3.751, -6.088, -0.196], [8.230, 5.064, 0.221]],
  "species": ["S", "S", "S", "S", "S", "S", "S", "S", "S", "S", "S", "S", "Eu", "Eu", "Eu", "Eu", "Zr", "Zr", "Zr", "Zr"],
  "fractional_positions": [[0.820, 0.190, 0.559], [0.820, 0.190, 0.941], [0.119, 0.528, 0.750], [0.619, 0.972, 0.250], [0.381, 0.028, 0.750], [0.680, 0.690, 0.559], [0.680, 0.690, 0.941], [0.881, 0.472, 0.250], [0.320, 0.310, 0.441], [0.180, 0.810, 0.441], [0.320, 0.310, 0.059], [0.180, 0.810, 0.059], [0.035, 0.097, 0.250], [0.535, 0.403, 0.750], [0.965, 0.903, 0.750], [0.465, 0.597, 0.250], [0.500, 0.000, 0.500], [0.000, 0.500, 0.000], [0.000, 0.500, 0.500], [0.500, 0.000, 0.000]],
  "magmom_total_mub_per_fu": 1.07,
  "delta_e_f_ev_per_atom": -1.34,
  "spacegroup": "No. 62"
}